No. 1
Entry from the Materials Project: crystalline Mn6OF11 at its relaxed geometry (PBE+U).

Structure (CIF):
```
data_Mn6OF11
_space_group_name_H-M_alt 'C 1 m 1'
_space_group_IT_number 8
_space_group_name_Hall 'C -2y'
_cell_length_a 9.5272
_cell_length_b 7.0172
_cell_length_c 7.6270
_cell_angle_alpha 90.00
_cell_angle_beta 109.95
_cell_angle_gamma 90.00
loop_
_atom_site_label
_atom_site_fract_x
_atom_site_fract_y
_atom_site_fract_z
Mn1 0.0000 0.0000 0.0000
Mn2 0.0035 0.0000 0.4686
Mn3 0.1730 0.5000 0.6541
Mn4 0.1874 0.5000 0.1496
Mn5 0.3363 0.0000 0.8264
Mn6 0.3427 0.0000 0.3199
O1 0.4087 0.5000 0.1809
F1 0.0064 0.3036 0.4907
F2 0.0693 0.5000 0.8552
F3 0.0989 0.0000 0.7931
F4 0.1703 0.1914 0.1501
F5 0.2397 0.0000 0.5288
F6 0.2736 0.5000 0.4484
F7 0.3423 0.3063 0.8254
F8 0.4513 0.0000 0.1212
```

=====

No. 2
Entry from the Materials Project: crystalline Mn3O5F at its relaxed geometry (PBE+U).

Structure (CIF):
```
data_Mn3O5F
_space_group_name_H-M_alt 'P 1'
_space_group_IT_number 1
_space_group_name_Hall 'P 1'
_cell_length_a 4.5470
_cell_length_b 5.4533
_cell_length_c 7.5365
_cell_angle_alpha 86.42
_cell_angle_beta 89.95
_cell_angle_gamma 89.89
loop_
_atom_site_label
_atom_site_fract_x
_atom_site_fract_y
_atom_site_fract_z
Mn1 0.0000 0.0000 0.0000
Mn2 0.0018 0.6506 0.3113
Mn3 0.0040 0.3107 0.6590
Mn4 0.5071 0.1537 0.3270
Mn5 0.5138 0.4762 0.9905
Mn6 0.5376 0.8290 0.6521
O1 0.2027 0.2819 0.8892
O2 0.2089 0.9448 0.2205
O3 0.3189 0.4485 0.2215
O4 0.3202 0.1155 0.5569
O5 0.7019 0.1879 0.0969
O6 0.7069 0.5258 0.7569
O7 0.7110 0.8585 0.4218
O8 0.8180 0.3575 0.4237
O9 0.8176 0.6920 0.0877
O10 0.8219 0.0238 0.7647
F1 0.2073 0.6202 0.5540
F2 0.3124 0.7885 0.8856
```

=====

No. 3
Entry from the Materials Project: crystalline Mn6OF11 at its relaxed geometry (PBE+U).

Structure (CIF):
```
data_Mn6OF11
_space_group_name_H-M_alt 'P -1'
_space_group_IT_number 2
_space_group_name_Hall '-P 1'
_cell_length_a 4.9617
_cell_length_b 5.8910
_cell_length_c 16.2357
_cell_angle_alpha 90.26
_cell_angle_beta 90.33
_cell_angle_gamma 90.83
loop_
_atom_site_label
_atom_site_fract_x
_atom_site_fract_y
_atom_site_fract_z
Mn1 0.0024 0.3327 0.4155
Mn2 0.0094 0.3524 0.0854
Mn3 0.0124 0.6684 0.2433
Mn4 0.4719 0.8166 0.0838
Mn5 0.4931 0.1715 0.5846
Mn6 0.4940 0.1671 0.2479
O1 0.2075 0.5893 0.1343
F1 0.2192 0.3894 0.6460
F2 0.2287 0.6202 0.8126
F3 0.2296 0.3846 0.9784
F4 0.2333 0.6055 0.4752
F5 0.2344 0.3942 0.3068
F6 0.2575 0.1028 0.1366
F7 0.2602 0.8752 0.9666
F8 0.2669 0.8953 0.3068
F9 0.2707 0.1050 0.4734
F10 0.2735 0.8912 0.6422
F11 0.2894 0.1167 0.8082
```

=====

No. 4
Entry from the Materials Project: crystalline Mn12O5F19 at its relaxed geometry (PBE+U).

Structure (CIF):
```
data_Mn12O5F19
_space_group_name_H-M_alt 'P 1'
_space_group_IT_number 1
_space_group_name_Hall 'P 1'
_cell_length_a 4.8953
_cell_length_b 5.8515
_cell_length_c 15.9680
_cell_angle_alpha 90.53
_cell_angle_beta 90.18
_cell_angle_gamma 92.29
loop_
_atom_site_label
_atom_site_fract_x
_atom_site_fract_y
_atom_site_fract_z
Mn1 0.0000 0.0000 0.0000
Mn2 0.0023 0.0066 0.3205
Mn3 0.0064 0.6849 0.1569
Mn4 0.0140 0.6368 0.4803
Mn5 0.4619 0.1724 0.1592
Mn6 0.4736 0.4690 0.3233
Mn7 0.4835 0.1777 0.4895
Mn8 0.4974 0.4988 0.9824
Mn9 0.4991 0.5113 0.6614
Mn10 0.5085 0.1827 0.8241
Mn11 0.9603 0.6684 0.8222
Mn12 0.9786 0.9753 0.6570
O1 0.2124 0.9573 0.1067
O2 0.2718 0.2252 0.2641
O3 0.2867 0.4230 0.4287
O4 0.7071 0.4509 0.8742
O5 0.7762 0.7212 0.7195
F1 0.1904 0.7075 0.9289
F2 0.2213 0.7198 0.2699
F3 0.2226 0.9316 0.4337
F4 0.2252 0.7241 0.5979
F5 0.2285 0.9395 0.7760
F6 0.2522 0.4330 0.7675
F7 0.2553 0.2204 0.6045
F8 0.2558 0.4563 0.0919
F9 0.2643 0.2112 0.9325
F10 0.6956 0.2136 0.0536
F11 0.7073 0.4475 0.2124
F12 0.7168 0.2127 0.7111
F13 0.7300 0.4409 0.5496
F14 0.7422 0.2173 0.3832
F15 0.7494 0.7049 0.3723
F16 0.7522 0.9424 0.2132
F17 0.7515 0.9436 0.5412
F18 0.7568 0.9592 0.8897
F19 0.7610 0.7138 0.0478
```

=====

No. 5
Entry from the Materials Project: crystalline Mn3O4F2 at its relaxed geometry (PBE+U).

Structure (CIF):
```
data_Mn3O4F2
_space_group_name_H-M_alt 'P n n m'
_space_group_IT_number 58
_space_group_name_Hall '-P 2 2n'
_cell_length_a 4.6761
_cell_length_b 13.9534
_cell_length_c 3.0383
_cell_angle_alpha 90.00
_cell_angle_beta 90.00
_cell_angle_gamma 90.00
loop_
_atom_site_label
_atom_site_fract_x
_atom_site_fract_y
_atom_site_fract_z
Mn1 0.0000 0.0000 0.0000
Mn2 0.0754 0.3262 0.0000
O1 0.1787 0.9348 0.5000
O2 0.2388 0.7669 0.0000
F1 0.1465 0.6083 0.5000
```

=====

No. 6
Entry from the Materials Project: crystalline Mn3O5F at its relaxed geometry (PBE+U).

Structure (CIF):
```
data_Mn3O5F
_space_group_name_H-M_alt 'C 1 2/m 1'
_space_group_IT_number 12
_space_group_name_Hall '-C 2y'
_cell_length_a 6.5193
_cell_length_b 6.3237
_cell_length_c 9.0041
_cell_angle_alpha 90.00
_cell_angle_beta 90.49
_cell_angle_gamma 90.00
loop_
_atom_site_label
_atom_site_fract_x
_atom_site_fract_y
_atom_site_fract_z
Mn1 0.0000 0.0000 0.0000
Mn2 0.0000 0.5000 0.5000
Mn3 0.0062 0.0000 0.3402
Mn4 0.0231 0.5000 0.8325
O1 0.0000 0.3075 0.0000
O2 0.0040 0.3052 0.6661
O3 0.1885 0.0000 0.1703
O4 0.1936 0.0000 0.5013
F1 0.2100 0.0000 0.8227
```

=====

No. 7
Entry from the Materials Project: crystalline Mn6O7F5 at its relaxed geometry (PBE+U).

Structure (CIF):
```
data_Mn6O7F5
_space_group_name_H-M_alt 'P 1'
_space_group_IT_number 1
_space_group_name_Hall 'P 1'
_cell_length_a 5.5507
_cell_length_b 5.5806
_cell_length_c 7.3533
_cell_angle_alpha 73.83
_cell_angle_beta 72.68
_cell_angle_gamma 71.25
loop_
_atom_site_label
_atom_site_fract_x
_atom_site_fract_y
_atom_site_fract_z
Mn1 0.0000 0.0000 0.0000
Mn2 0.0071 0.9471 0.5068
Mn3 0.2998 0.2972 0.6657
Mn4 0.3681 0.3139 0.1862
Mn5 0.6435 0.6681 0.3397
Mn6 0.6507 0.6505 0.8279
O1 0.2241 0.1851 0.4756
O2 0.2983 0.6435 0.5089
O3 0.3449 0.9581 0.8333
O4 0.5712 0.5547 0.1279
O5 0.6609 0.0235 0.1679
O6 0.7628 0.7401 0.5410
O7 0.9593 0.3504 0.8270
F1 0.0462 0.6154 0.1727
F2 0.1274 0.0934 0.1970
F3 0.4153 0.4022 0.8669
F4 0.6882 0.2559 0.5125
F5 0.8906 0.8761 0.8124
```

=====

No. 8
Entry from the Materials Project: crystalline Mn3O5F at its relaxed geometry (PBE+U).

Structure (CIF):
```
data_Mn3O5F
_space_group_name_H-M_alt 'P 1'
_space_group_IT_number 1
_space_group_name_Hall 'P 1'
_cell_length_a 4.5645
_cell_length_b 5.4659
_cell_length_c 7.5285
_cell_angle_alpha 86.05
_cell_angle_beta 88.73
_cell_angle_gamma 88.04
loop_
_atom_site_label
_atom_site_fract_x
_atom_site_fract_y
_atom_site_fract_z
Mn1 0.0000 0.0000 0.0000
Mn2 0.0015 0.3261 0.6771
Mn3 0.4995 0.4958 0.0038
Mn4 0.5190 0.8427 0.6766
Mn5 0.5203 0.1763 0.3453
Mn6 0.9823 0.6533 0.3289
O1 0.1974 0.2934 0.9037
O2 0.3095 0.1287 0.5700
O3 0.3104 0.7962 0.9031
O4 0.3114 0.4656 0.2386
O5 0.6991 0.2035 0.1092
O6 0.6987 0.5362 0.7736
O7 0.7028 0.8715 0.4403
O8 0.8072 0.7046 0.1035
O9 0.8089 0.3661 0.4444
O10 0.8130 0.0386 0.7749
F1 0.1975 0.6307 0.5674
F2 0.2051 0.9670 0.2395
```

=====

Let's list energy in order: -6.458 -6.964 -6.452 -6.515 -6.862 -6.973 -6.784 -6.968 eV per atom.
Let's list magnetic moment in order: 58.01 20.00 58.00 55.00 22.00 40.00 23.00 20.00 μB/cell.
Let's list theoretical density in order: 3.8 4.7 3.9 4.0 4.5 4.7 4.4 4.7 g cm⁻³.